No. 1
Density functional theory data (PBE) for a geometry-optimized CsB2P2HO9 structure.

Geometry as POSCAR:
```
CsB2P2HO9
1.0
12.6816 0.0000 0.0000
0.0000 6.9489 0.0000
0.0000 1.3114 9.0219
Cs B P H O
4 8 8 4 36
direct
0.3795 0.2779 0.1918 Cs
0.8795 0.7221 0.3082 Cs
0.6205 0.7221 0.8082 Cs
0.1205 0.2779 0.6918 Cs
0.1460 0.9253 0.1398 B
0.6460 0.0747 0.3602 B
0.8540 0.0747 0.8602 B
0.3540 0.9253 0.6398 B
0.1347 0.6197 0.0283 B
0.6347 0.3803 0.4717 B
0.8653 0.3803 0.9717 B
0.3653 0.6197 0.5283 B
0.2054 0.8577 0.4425 P
0.7054 0.1423 0.0575 P
0.7946 0.1423 0.5575 P
0.2946 0.8577 0.9425 P
0.5416 0.7188 0.3345 P
0.0416 0.2812 0.1655 P
0.4584 0.2812 0.6655 P
0.9584 0.7188 0.8345 P
0.4861 0.7706 0.1028 H
0.9861 0.2294 0.3972 H
0.5139 0.2294 0.8972 H
0.0139 0.7706 0.6028 H
0.2159 0.9967 0.0106 O
0.7159 0.0033 0.4894 O
0.7841 0.0033 0.9894 O
0.2841 0.9967 0.5106 O
0.5566 0.9314 0.3601 O
0.0566 0.0686 0.1399 O
0.4434 0.0686 0.6399 O
0.9434 0.9314 0.8601 O
0.2142 0.9324 0.2734 O
0.7142 0.0676 0.2266 O
0.7858 0.0676 0.7266 O
0.2858 0.9324 0.7734 O
0.0941 0.8610 0.4993 O
0.5941 0.1390 0.0007 O
0.9059 0.1390 0.5007 O
0.4059 0.8610 0.9993 O
0.1013 0.7389 0.1326 O
0.6013 0.2611 0.3674 O
0.8987 0.2611 0.8674 O
0.3987 0.7389 0.6326 O
0.5468 0.6979 0.1663 O
0.0468 0.3021 0.3337 O
0.4532 0.3021 0.8337 O
0.9532 0.6979 0.6663 O
0.2543 0.6486 0.4787 O
0.7543 0.3514 0.0213 O
0.7457 0.3514 0.5213 O
0.2457 0.6486 0.9787 O
0.4312 0.6470 0.3866 O
0.9312 0.3530 0.1134 O
0.5688 0.3530 0.6134 O
0.0688 0.6470 0.8866 O
0.1313 0.4058 0.0862 O
0.6313 0.5942 0.4138 O
0.8687 0.5942 0.9138 O
0.3687 0.4058 0.5862 O
```

Results
SG: P2_1/c (14)
energy: -424.8 eV per cell
calculated formation energy: -2.625 eV/atom

=====

No. 2
Density functional theory data (PBE) for a geometry-optimized CsB6I6 structure.

Geometry as POSCAR:
```
CsB6I6
1.0
-4.7007 0.4968 17.6345
-8.5892 -8.6841 13.5695
1.7978 -7.9869 16.3186
Cs B I
4 24 24
direct
0.2100 0.2100 0.2100 Cs
0.6268 0.6268 0.6268 Cs
0.7900 0.7900 0.7900 Cs
0.3732 0.3732 0.3732 Cs
0.4496 0.6345 0.4947 B
0.8257 0.1311 0.0244 B
0.1743 0.8689 0.9756 B
0.3655 0.5053 0.5504 B
0.5053 0.5504 0.3655 B
0.8879 0.9549 0.0780 B
0.4947 0.4496 0.6345 B
0.3311 0.5571 0.6305 B
0.9549 0.0780 0.8879 B
0.6305 0.3311 0.5571 B
0.8689 0.9756 0.1743 B
0.9220 0.1121 0.0451 B
0.4429 0.3695 0.6689 B
0.3695 0.6689 0.4429 B
0.6345 0.4947 0.4496 B
0.0244 0.8257 0.1311 B
0.0780 0.8879 0.9549 B
0.5571 0.6305 0.3311 B
0.0451 0.9220 0.1121 B
0.9756 0.1743 0.8689 B
0.1121 0.0451 0.9220 B
0.1311 0.0244 0.8257 B
0.5504 0.3655 0.5053 B
0.6689 0.4429 0.3695 B
0.8990 0.1771 0.7438 I
0.5096 0.6160 0.1942 I
0.2977 0.0550 0.6018 I
0.1180 0.6285 0.7991 I
0.3840 0.8058 0.4904 I
0.9450 0.3982 0.7023 I
0.1010 0.8229 0.2562 I
0.2562 0.1010 0.8229 I
0.7023 0.9450 0.3982 I
0.7438 0.8990 0.1771 I
0.8820 0.3715 0.2009 I
0.0550 0.6018 0.2977 I
0.6018 0.2977 0.0550 I
0.4904 0.3840 0.8058 I
0.1771 0.7438 0.8990 I
0.8229 0.2562 0.1010 I
0.7991 0.1180 0.6285 I
0.1942 0.5096 0.6160 I
0.8058 0.4904 0.3840 I
0.6285 0.7991 0.1180 I
0.2009 0.8820 0.3715 I
0.3715 0.2009 0.8820 I
0.3982 0.7023 0.9450 I
0.6160 0.1942 0.5096 I
```

Results
SG: R-3 (148)
energy: -223.2 eV per cell
calculated formation energy: -0.611 eV/atom

=====

> What is the formula in the second record?

CsB6I6

=====

> What is the calculated formation energy in the first record?

-2.625 eV/atom

=====

> Among the records above, which one has the lowest calculated formation energy?

CsB2P2HO9

=====

> Number 1 is which compound?

CsB2P2HO9